Record 1
# Bi2O5 (PBE, optimized geometry)
data_Bi2O5
_chemical_formula_sum 'Bi8 O20'
_space_group_name_H-M_alt 'P 1 21/c 1'
_space_group_IT_number 14
_space_group_name_Hall '-P 2ybc'
_cell_length_a 5.536
_cell_length_b 10.504
_cell_length_c 9.099
_cell_angle_alpha 90.00
_cell_angle_beta 119.20
_cell_angle_gamma 90.00
loop_
_atom_site_label
_atom_site_fract_x
_atom_site_fract_y
_atom_site_fract_z
Bi1 0.002 0.110 0.127
Bi2 0.214 0.597 0.967
O1 0.065 0.565 0.146
O2 0.133 0.078 0.940
O3 0.165 0.206 0.679
O4 0.379 0.719 0.496
O5 0.390 0.014 0.332
# E_tot: -5.202 eV/atom
# energy relative to the lowest polymorph listed for this composition: 59 meV per atom
# formation enthalpy at 0 K: -1047 meV/atom
# calculated density: 7.161 Mg/m³



Record 2
# HfSbPd (PBE, optimized geometry)
data_HfSbPd
_chemical_formula_sum 'Hf4 Sb4 Pd4'
_space_group_name_H-M_alt 'P n m a'
_space_group_IT_number 62
_space_group_name_Hall '-P 2ac 2n'
_cell_length_a 6.680
_cell_length_b 4.416
_cell_length_c 8.022
_cell_angle_alpha 90.00
_cell_angle_beta 90.00
_cell_angle_gamma 90.00
loop_
_atom_site_label
_atom_site_fract_x
_atom_site_fract_y
_atom_site_fract_z
Hf1 0.015 0.250 0.205
Sb1 0.237 0.750 0.400
Pd1 0.171 0.250 0.577
# E_tot: -7.013 eV/atom
# formation enthalpy at 0 K: -591 meV/atom
# calculated density: 11.414 Mg/m³